No. 1
The following is a PBE calculation of a relaxed structure of V8C7, from Materials Project.

```
V8C7
1.0
8.335 0.000 0.000
0.000 8.335 0.000
0.000 0.000 8.335
V C
32 28
Cartesian
0.882 1.087 7.314
0.997 1.202 3.104
1.020 5.049 3.081
1.015 5.183 7.319
1.068 3.099 5.236
1.063 7.338 5.369
1.087 7.314 0.882
1.202 3.104 0.997
2.966 5.231 5.164
3.081 1.020 5.049
3.104 0.997 1.202
3.099 5.236 1.068
3.152 3.152 3.152
3.147 3.286 7.248
3.171 7.133 7.272
3.286 7.248 3.147
5.049 3.081 1.020
5.164 2.966 5.231
5.183 7.319 1.015
5.188 7.453 5.254
5.236 1.068 3.099
5.231 5.164 2.966
5.254 5.188 7.453
5.369 1.063 7.338
7.133 7.272 3.171
7.248 3.147 3.286
7.272 3.171 7.133
7.267 7.267 7.267
7.314 0.882 1.087
7.319 1.015 5.183
7.338 5.369 1.063
7.453 5.254 5.188
1.010 3.126 3.094
1.032 5.209 1.052
1.042 1.042 1.042
1.042 3.116 7.303
1.042 5.241 5.178
1.052 1.032 5.209
1.074 7.325 7.293
3.094 1.010 3.126
3.116 7.303 1.042
3.126 3.094 1.010
3.126 5.219 3.136
3.126 7.293 5.209
3.136 3.126 5.219
3.157 5.209 7.261
5.178 1.042 5.241
5.199 7.293 7.283
5.209 1.052 1.032
5.209 3.126 7.293
5.209 7.261 3.157
5.219 3.136 3.126
5.241 5.178 1.042
7.261 3.157 5.209
7.283 5.199 7.293
7.293 1.074 7.325
7.293 5.209 3.126
7.293 7.283 5.199
7.303 1.042 3.116
7.325 7.293 1.074
```

Properties
E_form (eV/atom): -0.52
Uncorrected energy (eV per atom): -9.68
ρ (g cm⁻³): 5.6
Space group: P4_332, No. 212
V (Å³/atom): 9.7

---

No. 2
The following is a PBE calculation of a relaxed structure of VC, from Materials Project.

```
VC
1.0
2.926 0.000 0.000
-1.463 2.534 0.000
0.000 0.000 4.901
V C
2 2
Cartesian
0.000 1.689 0.000
1.463 0.845 2.451
0.000 0.000 1.219
0.000 0.000 3.670
```

Properties
E_form (eV/atom): -0.27
Uncorrected energy (eV per atom): -9.43
ρ (g cm⁻³): 5.8
Space group: P6_3mc, No. 186
V (Å³/atom): 9.1

---

No. 3
The following is a PBE calculation of a relaxed structure of VC, from Materials Project.

```
VC
1.0
0.000 2.081 2.081
2.081 0.000 2.081
2.081 2.081 0.000
V C
1 1
Cartesian
0.000 0.000 0.000
2.081 2.081 2.081
```

Properties
E_form (eV/atom): -0.41
Uncorrected energy (eV per atom): -9.57
ρ (g cm⁻³): 5.8
Space group: Fm-3m, No. 225
V (Å³/atom): 9.0

---

No. 4
The following is a PBE calculation of a relaxed structure of V2C, from Materials Project.

```
V2C
1.0
2.946 0.000 0.000
-1.473 2.551 0.000
0.000 0.000 9.275
V C
4 2
Cartesian
0.000 1.701 1.089
0.000 1.701 3.549
1.473 0.850 5.726
1.473 0.850 8.186
0.000 0.000 0.000
0.000 0.000 4.637
```

Properties
E_form (eV/atom): -0.17
Uncorrected energy (eV per atom): -9.30
ρ (g cm⁻³): 5.4
Space group: P6_3/mmc, No. 194
V (Å³/atom): 11.6

---

No. 5
The following is a PBE calculation of a relaxed structure of VC3, from Materials Project.

```
VC3
1.0
6.143 0.000 0.000
0.189 6.210 0.000
2.063 2.440 7.357
V C
8 24
Cartesian
0.000 0.000 0.000
2.184 5.800 7.043
1.244 4.035 2.870
3.346 5.410 0.333
5.249 5.510 6.755
4.782 7.318 3.689
4.807 4.708 3.162
7.015 1.440 3.966
1.998 2.234 5.406
2.338 6.201 4.926
2.361 2.954 4.224
2.035 6.010 2.456
3.036 7.265 5.852
1.679 0.481 1.199
1.818 3.208 1.141
1.747 1.858 0.654
3.444 4.347 6.574
2.911 6.276 3.592
3.684 3.432 4.234
4.237 3.767 5.550
4.507 7.097 5.761
5.429 3.071 6.042
5.713 7.934 5.513
4.562 3.640 0.903
4.898 6.154 1.736
4.661 1.200 1.044
6.362 3.562 6.991
5.009 2.474 1.657
5.385 4.852 1.167
6.237 5.665 4.074
5.857 2.668 2.803
7.118 5.817 5.167
```

Properties
E_form (eV/atom): 0.64
Uncorrected energy (eV per atom): -8.55
ρ (g cm⁻³): 4.1
ΔE to the lowest computed polymorph (kJ/mol of formula units): 0.0
Space group: P1, No. 1
V (Å³/atom): 8.8

---

No. 6
The following is a PBE calculation of a relaxed structure of V4WC5, from Materials Project.

```
V4WC5
1.0
1.486 0.858 12.181
-1.486 0.858 12.181
0.000 -1.716 12.181
V W C
4 1 5
Cartesian
0.000 0.000 3.570
0.000 0.000 10.974
0.000 0.000 25.571
0.000 0.000 32.975
0.000 0.000 18.272
0.000 0.000 0.000
0.000 0.000 7.404
0.000 0.000 14.575
0.000 0.000 21.970
0.000 0.000 29.141
```

Properties
E_form (eV/atom): -0.28
Uncorrected energy (eV per atom): -9.82
ρ (g cm⁻³): 8.0
Space group: R-3m, No. 166
V (Å³/atom): 9.3